# LaZrF7

An optimized crystal structure of LaZrF7 (PBE-GGA, the Materials Project).

space-group type = No. 4
total energy = -6.872 eV per atom
energy of formation from the pure elements = -4.244 eV/atom

a = 5.9166 Å, b = 6.3922 Å, c = 8.5989 Å
α = 78.08°, β = 90.00°, γ = 90.00°
Atoms (fractional coordinates):
F1 0.5029 0.4439 0.2143
F2 0.4954 0.6276 0.7813
F3 0.7132 0.1426 0.4669
F4 0.4469 0.9757 0.2363
F5 0.9954 0.3724 0.2187
F6 0.8815 0.5554 0.4721
F7 0.2050 0.7584 0.0172
F8 0.3815 0.4446 0.5279
F9 0.2132 0.8574 0.5331
F10 0.4176 0.0716 0.7635
F11 0.0029 0.5561 0.7857
Zr1 0.7109 0.1868 0.2245
La1 0.7029 0.3436 0.6869
La2 0.2029 0.6564 0.3131
F12 0.9469 0.0243 0.7637
Zr2 0.2109 0.8132 0.7755
F13 0.7050 0.2416 0.9828
F14 0.9176 0.9284 0.2365


# LiF3

An optimized crystal structure of LiF3 (PBE-GGA, the Materials Project).

space-group type = No. 194
total energy = -2.997 eV per atom
energy of formation from the pure elements = -1.431 eV/atom

a = 4.4183 Å, b = 4.4183 Å, c = 4.6530 Å
α = 90.00°, β = 90.00°, γ = 120.00°
Atoms (fractional coordinates):
F1 0.1688 0.3375 0.2500
F2 0.1688 0.8312 0.2500
Li1 0.6667 0.3333 0.2500
F3 0.8312 0.6625 0.7500
F4 0.6625 0.8312 0.2500
F5 0.3375 0.1688 0.7500
F6 0.8312 0.1688 0.7500
Li2 0.3333 0.6667 0.7500


# LiLuF2

An optimized crystal structure of LiLuF2 (PBE-GGA, the Materials Project).

space-group type = No. 141
total energy = -4.863 eV per atom
energy of formation from the pure elements = -2.530 eV/atom

a = 7.7046 Å, b = 7.7046 Å, c = 7.7046 Å
α = 131.13°, β = 131.13°, γ = 71.60°
Atoms (fractional coordinates):
F1 0.1910 0.4609 0.2699
Li1 0.8750 0.1250 0.7500
Lu1 0.3750 0.6250 0.7500
F2 0.5590 0.7891 0.2301
F3 0.5391 0.8090 0.7301
F4 0.1910 0.9211 0.7301
F5 0.6711 0.4410 0.2301
Li2 0.3750 0.1250 0.2500
Lu2 0.3750 0.6250 0.2500
Li3 0.8750 0.6250 0.7500
F6 0.5590 0.3289 0.7699
Li4 0.8750 0.1250 0.2500
Lu3 0.8750 0.6250 0.2500
Lu4 0.3750 0.1250 0.7500
F7 0.2109 0.4410 0.7699
F8 0.0789 0.8090 0.2699


# LiS2NO4F2

An optimized crystal structure of LiS2NO4F2 (PBE-GGA, the Materials Project).

space-group type = No. 176
total energy = -5.554 eV per atom
energy of formation from the pure elements = -1.708 eV/atom

a = 8.7381 Å, b = 8.7381 Å, c = 12.9665 Å
α = 90.00°, β = 90.00°, γ = 120.00°
Atoms (fractional coordinates):
F1 0.7909 0.9465 0.8725
S1 0.6369 0.6638 0.1430
F2 0.1556 0.2091 0.8725
O1 0.5571 0.7132 0.0631
O2 0.1271 0.6151 0.8604
Li1 0.6667 0.3333 0.2500
O3 0.3849 0.5120 0.8604
S2 0.6638 0.0268 0.6430
O4 0.5120 0.1271 0.3604
F3 0.0535 0.8444 0.6275
F4 0.8444 0.7909 0.1275
O5 0.4429 0.2868 0.9369
S3 0.3362 0.9732 0.1430
O6 0.4880 0.8729 0.8604
O7 0.1561 0.4429 0.4369
Li2 0.6667 0.3333 0.0182
O8 0.8729 0.3849 0.1396
N1 0.1239 0.4018 0.2500
O9 0.6151 0.4880 0.1396
S4 0.6369 0.6638 0.3570
S5 0.9732 0.6369 0.6430
O10 0.6151 0.4880 0.3604
S6 0.9732 0.6369 0.8570
O11 0.2868 0.8439 0.4369
O12 0.8439 0.5571 0.9369
Li3 0.3333 0.6667 0.9818
O13 0.8439 0.5571 0.5631
Li4 0.3333 0.6667 0.5182
F5 0.7909 0.9465 0.6275
O14 0.3849 0.5120 0.6396
F6 0.9465 0.1556 0.1275
O15 0.4880 0.8729 0.6396
N2 0.8761 0.5982 0.7500
O16 0.7132 0.1561 0.5631
N3 0.2779 0.8761 0.2500
O17 0.4429 0.2868 0.5631
S7 0.3631 0.3362 0.8570
F7 0.9465 0.1556 0.3725
S8 0.0268 0.3631 0.3570
O18 0.5571 0.7132 0.4369
F8 0.2091 0.0535 0.1275
S9 0.3362 0.9732 0.3570
O19 0.2868 0.8439 0.0631
S10 0.0268 0.3631 0.1430
F9 0.2091 0.0535 0.3725
O20 0.5120 0.1271 0.1396
S11 0.3631 0.3362 0.6430
O21 0.1561 0.4429 0.0631
O22 0.1271 0.6151 0.6396
N4 0.4018 0.2779 0.7500
F10 0.1556 0.2091 0.6275
O23 0.7132 0.1561 0.9369
S12 0.6638 0.0268 0.8570
N5 0.7221 0.1239 0.7500
Li5 0.3333 0.6667 0.7500
F11 0.0535 0.8444 0.8725
O24 0.8729 0.3849 0.3604
F12 0.8444 0.7909 0.3725
Li6 0.6667 0.3333 0.4818
N6 0.5982 0.7221 0.2500


# LiTiNF6

An optimized crystal structure of LiTiNF6 (PBE-GGA, the Materials Project).

space-group type = No. 60
total energy = -5.204 eV per atom
energy of formation from the pure elements = -2.220 eV/atom

a = 7.7243 Å, b = 10.4325 Å, c = 12.4349 Å
α = 90.00°, β = 90.00°, γ = 90.00°
Atoms (fractional coordinates):
F1 0.7777 0.0068 0.5007
F2 0.4900 0.4043 0.1499
F3 0.0104 0.4482 0.1300
F4 0.4900 0.9043 0.8501
F5 0.2270 0.7565 0.9101
Li1 0.7473 0.9247 0.3608
N1 0.0000 0.7500 0.5775
F6 0.2777 0.4932 0.0007
F7 0.2301 0.3818 0.2875
F8 0.7301 0.6182 0.2125
Li2 0.7473 0.4247 0.6392
F9 0.9896 0.0518 0.1300
N2 0.5000 0.7500 0.6050
Ti1 0.7497 0.0744 0.1366
F10 0.7730 0.2435 0.0899
N3 0.5000 0.7500 0.0775
F11 0.2730 0.2565 0.5899
F12 0.2301 0.8818 0.7125
Ti2 0.2503 0.4256 0.1366
F13 0.7730 0.7435 0.9101
F14 0.7303 0.4019 0.8043
F15 0.2697 0.0981 0.8043
Ti3 0.7497 0.5744 0.8634
F16 0.7777 0.5068 0.4993
F17 0.9900 0.0957 0.6499
F18 0.7270 0.7435 0.4101
F19 0.7697 0.9019 0.6957
F20 0.5100 0.5957 0.8501
F21 0.2223 0.9932 0.4993
Li3 0.7527 0.9247 0.8608
F22 0.7223 0.0068 0.0007
F23 0.7303 0.9019 0.1957
Ti4 0.2497 0.9256 0.3634
F24 0.2730 0.7565 0.4101
F25 0.0100 0.9043 0.3501
F26 0.7699 0.1182 0.2875
N4 0.5000 0.2500 0.9225
F27 0.7223 0.5068 0.9993
Li4 0.2473 0.5753 0.8608
Ti5 0.7503 0.5744 0.3634
F28 0.2699 0.8818 0.2125
F29 0.0104 0.9482 0.8700
F30 0.2303 0.0981 0.3043
F31 0.2777 0.9932 0.9993
F32 0.0100 0.4043 0.6499
F33 0.2270 0.2565 0.0899
F34 0.7697 0.4019 0.3043
F35 0.5100 0.0957 0.1499
Li5 0.2527 0.0753 0.6392
Ti6 0.7503 0.0744 0.6366
F36 0.9896 0.5518 0.8700
F37 0.2303 0.5981 0.6957
N5 0.0000 0.7500 0.1050
N6 0.5000 0.2500 0.3950
N7 0.0000 0.2500 0.4225
F38 0.5104 0.0518 0.6300
F39 0.4896 0.9482 0.3700
Ti7 0.2497 0.4256 0.6366
F40 0.7301 0.1182 0.7875
F41 0.4896 0.4482 0.6300
F42 0.2699 0.3818 0.7875
Ti8 0.2503 0.9256 0.8634
Li6 0.7527 0.4247 0.1392
F43 0.7270 0.2435 0.5899
Li7 0.2473 0.0753 0.1392
F44 0.5104 0.5518 0.3700
F45 0.7699 0.6182 0.7125
F46 0.2697 0.5981 0.1957
N8 0.0000 0.2500 0.8950
Li8 0.2527 0.5753 0.3608
F47 0.2223 0.4932 0.5007
F48 0.9900 0.5957 0.3501


Copy entry 4 word for word.
# LiS2NO4F2

An optimized crystal structure of LiS2NO4F2 (PBE-GGA, the Materials Project).

space-group type = No. 176
total energy = -5.554 eV per atom
energy of formation from the pure elements = -1.708 eV/atom

a = 8.7381 Å, b = 8.7381 Å, c = 12.9665 Å
α = 90.00°, β = 90.00°, γ = 120.00°
Atoms (fractional coordinates):
F1 0.7909 0.9465 0.8725
S1 0.6369 0.6638 0.1430
F2 0.1556 0.2091 0.8725
O1 0.5571 0.7132 0.0631
O2 0.1271 0.6151 0.8604
Li1 0.6667 0.3333 0.2500
O3 0.3849 0.5120 0.8604
S2 0.6638 0.0268 0.6430
O4 0.5120 0.1271 0.3604
F3 0.0535 0.8444 0.6275
F4 0.8444 0.7909 0.1275
O5 0.4429 0.2868 0.9369
S3 0.3362 0.9732 0.1430
O6 0.4880 0.8729 0.8604
O7 0.1561 0.4429 0.4369
Li2 0.6667 0.3333 0.0182
O8 0.8729 0.3849 0.1396
N1 0.1239 0.4018 0.2500
O9 0.6151 0.4880 0.1396
S4 0.6369 0.6638 0.3570
S5 0.9732 0.6369 0.6430
O10 0.6151 0.4880 0.3604
S6 0.9732 0.6369 0.8570
O11 0.2868 0.8439 0.4369
O12 0.8439 0.5571 0.9369
Li3 0.3333 0.6667 0.9818
O13 0.8439 0.5571 0.5631
Li4 0.3333 0.6667 0.5182
F5 0.7909 0.9465 0.6275
O14 0.3849 0.5120 0.6396
F6 0.9465 0.1556 0.1275
O15 0.4880 0.8729 0.6396
N2 0.8761 0.5982 0.7500
O16 0.7132 0.1561 0.5631
N3 0.2779 0.8761 0.2500
O17 0.4429 0.2868 0.5631
S7 0.3631 0.3362 0.8570
F7 0.9465 0.1556 0.3725
S8 0.0268 0.3631 0.3570
O18 0.5571 0.7132 0.4369
F8 0.2091 0.0535 0.1275
S9 0.3362 0.9732 0.3570
O19 0.2868 0.8439 0.0631
S10 0.0268 0.3631 0.1430
F9 0.2091 0.0535 0.3725
O20 0.5120 0.1271 0.1396
S11 0.3631 0.3362 0.6430
O21 0.1561 0.4429 0.0631
O22 0.1271 0.6151 0.6396
N4 0.4018 0.2779 0.7500
F10 0.1556 0.2091 0.6275
O23 0.7132 0.1561 0.9369
S12 0.6638 0.0268 0.8570
N5 0.7221 0.1239 0.7500
Li5 0.3333 0.6667 0.7500
F11 0.0535 0.8444 0.8725
O24 0.8729 0.3849 0.3604
F12 0.8444 0.7909 0.3725
Li6 0.6667 0.3333 0.4818
N6 0.5982 0.7221 0.2500


> What is the formula in the third record?

LiLuF2